# 1
Li2CdAu | r2SCAN | optimized geometry

- Calculated formation energy: -10.0 kcal/mol of atoms

Lattice parameters (Å, degrees): 4.454 4.454 4.454 60.00 60.00 60.00
Sites, in units of the cell vectors:
Li 0.250 0.250 0.250
Li 0.750 0.750 0.750
Cd 0.000 0.000 0.000
Au 0.500 0.500 0.500

# 2
Na6Cd16Au7 | r2SCAN | optimized geometry

- Calculated formation energy: -6.0 kcal/mol of atoms

Lattice parameters (Å, degrees): 9.654 9.654 9.654 60.00 60.00 60.00
Sites, in units of the cell vectors:
Na 0.211 0.211 0.789
Na 0.211 0.789 0.211
Na 0.211 0.789 0.789
Na 0.789 0.211 0.211
Na 0.789 0.211 0.789
Na 0.789 0.789 0.211
Cd 0.143 0.619 0.619
Cd 0.163 0.163 0.163
Cd 0.163 0.163 0.510
Cd 0.163 0.510 0.163
Cd 0.381 0.381 0.381
Cd 0.381 0.381 0.857
Cd 0.381 0.857 0.381
Cd 0.490 0.837 0.837
Cd 0.510 0.163 0.163
Cd 0.619 0.143 0.619
Cd 0.619 0.619 0.143
Cd 0.619 0.619 0.619
Cd 0.837 0.490 0.837
Cd 0.837 0.837 0.490
Cd 0.837 0.837 0.837
Cd 0.857 0.381 0.381
Au 0.000 0.000 0.500
Au 0.000 0.500 0.000
Au 0.000 0.500 0.500
Au 0.500 0.000 0.000
Au 0.500 0.000 0.500
Au 0.500 0.500 0.000
Au 0.500 0.500 0.500

# 3
NdCdAu | r2SCAN | optimized geometry

- Calculated formation energy: -16.7 kcal/mol of atoms

Lattice parameters (Å, degrees): 7.809 7.809 4.109 90.00 90.00 120.00
Sites, in units of the cell vectors:
Nd 0.000 0.593 0.000
Nd 0.407 0.407 0.000
Nd 0.593 0.000 0.000
Cd 0.000 0.253 0.500
Cd 0.253 0.000 0.500
Cd 0.747 0.747 0.500
Au 0.000 0.000 0.000
Au 0.333 0.667 0.500
Au 0.667 0.333 0.500

# 4
Nd2CdAu2 | r2SCAN | optimized geometry

- Calculated formation energy: -18.4 kcal/mol of atoms

Lattice parameters (Å, degrees): 8.051 8.051 3.901 90.00 90.00 90.00
Sites, in units of the cell vectors:
Nd 0.172 0.328 0.000
Nd 0.328 0.828 0.000
Nd 0.672 0.172 0.000
Nd 0.828 0.672 0.000
Cd 0.000 0.000 0.500
Cd 0.500 0.500 0.500
Au 0.128 0.628 0.500
Au 0.372 0.128 0.500
Au 0.628 0.872 0.500
Au 0.872 0.372 0.500

# 5
NdCdAu2 | r2SCAN | optimized geometry

- Calculated formation energy: -16.2 kcal/mol of atoms

Lattice parameters (Å, degrees): 5.006 5.006 5.006 60.00 60.00 60.00
Sites, in units of the cell vectors:
Nd 0.000 0.000 0.000
Cd 0.500 0.500 0.500
Au 0.250 0.250 0.250
Au 0.750 0.750 0.750

# 6
NpCdAu2 | r2SCAN | optimized geometry

- Calculated formation energy: -11.9 kcal/mol of atoms

Lattice parameters (Å, degrees): 4.986 4.986 4.986 60.00 60.00 60.00
Sites, in units of the cell vectors:
Np 0.000 0.000 0.000
Cd 0.500 0.500 0.500
Au 0.250 0.250 0.250
Au 0.750 0.750 0.750

What did the sixth record say?
NpCdAu2 | r2SCAN | optimized geometry

- Calculated formation energy: -11.9 kcal/mol of atoms

Lattice parameters (Å, degrees): 4.986 4.986 4.986 60.00 60.00 60.00
Sites, in units of the cell vectors:
Np 0.000 0.000 0.000
Cd 0.500 0.500 0.500
Au 0.250 0.250 0.250
Au 0.750 0.750 0.750